Re3S7Cl7: relaxed, GGA-PBE.

Geometry as POSCAR:
```
Re3S7Cl7
1.0
9.741 0.000 0.000
-4.870 8.436 0.000
0.000 0.000 22.764
Re S Cl
12 28 28
Cartesian
-3.864 7.223 0.000 Re
0.547 1.478 0.000 Re
-0.995 4.396 17.368 Re
1.007 1.213 11.382 Re
-0.566 7.100 17.368 Re
1.561 5.376 17.368 Re
4.305 1.336 5.986 Re
3.875 4.040 5.986 Re
3.317 8.170 0.000 Re
6.431 3.060 5.986 Re
8.187 0.265 11.382 Re
5.417 6.958 11.382 Re
0.000 0.000 9.630 S
0.000 0.000 21.012 S
-0.626 1.704 13.046 S
-0.986 2.658 11.243 S
-2.795 6.063 17.535 S
-3.082 8.126 13.046 S
-1.796 5.913 15.725 S
1.789 0.310 1.664 S
-2.076 7.960 11.243 S
1.017 2.984 17.535 S
0.648 3.924 15.725 S
2.795 0.476 22.625 S
0.000 5.624 19.147 S
2.075 2.373 6.153 S
3.075 2.523 4.343 S
1.148 7.035 15.725 S
1.778 7.825 17.535 S
4.870 2.812 7.765 S
3.061 6.253 11.243 S
6.019 1.401 4.343 S
6.648 0.611 6.153 S
3.885 5.778 22.625 S
3.708 7.042 13.046 S
5.518 4.512 4.343 S
4.244 6.732 1.664 S
5.888 5.452 6.153 S
7.932 2.183 22.625 S
8.578 1.394 1.664 S
0.000 0.000 3.680 Cl
0.000 0.000 15.062 Cl
-1.657 3.259 7.670 Cl
-2.966 5.985 20.929 Cl
-1.368 3.487 4.581 Cl
-2.487 5.696 1.220 Cl
1.171 2.875 20.929 Cl
1.181 3.434 1.220 Cl
0.000 5.624 13.721 Cl
1.904 2.451 9.547 Cl
-1.167 7.877 4.581 Cl
-1.219 8.241 7.670 Cl
3.651 0.195 19.052 Cl
2.384 2.740 12.602 Cl
3.704 0.559 15.963 Cl
2.535 5.508 4.581 Cl
1.306 7.742 1.220 Cl
2.876 5.371 7.670 Cl
3.214 5.177 19.052 Cl
3.502 4.949 15.963 Cl
1.796 8.012 20.929 Cl
4.870 2.812 2.339 Cl
6.176 0.694 12.602 Cl
6.666 0.423 9.547 Cl
6.051 5.002 12.602 Cl
7.405 2.928 15.963 Cl
6.041 5.561 9.547 Cl
7.747 3.064 19.052 Cl
```

Properties
The calculation puts the total energy at -350.3 eV for the cell shown.



CaCeHg2: relaxed, GGA-PBE.

Geometry as POSCAR:
```
CaCeHg2
1.0
5.872 0.000 0.000
2.876 5.182 0.000
2.803 1.490 5.018
Ca Ce Hg
1 1 2
Cartesian
0.000 0.000 0.000 Ca
5.776 3.336 2.509 Ce
2.889 1.668 1.257 Hg
8.663 5.003 3.761 Hg
```

Properties
The calculation puts the total energy at -9.0 eV for the cell shown.



Ce4Sm: relaxed, GGA-PBE.

Geometry as POSCAR:
```
Ce4Sm
1.0
1.695 0.979 13.893
-1.695 0.979 13.893
0.000 -1.958 13.893
Ce Sm
4 1
Cartesian
0.000 0.000 4.039 Ce
0.000 0.000 12.532 Ce
0.000 0.000 29.148 Ce
0.000 0.000 37.641 Ce
0.000 0.000 20.840 Sm
```

Properties
The calculation puts the total energy at -28.1 eV for the cell shown.



NaY2Nb2P5SO24: relaxed, GGA-PBE.

Geometry as POSCAR:
```
NaY2Nb2P5SO24
1.0
8.996 0.000 0.000
4.490 7.808 0.000
0.006 0.104 23.410
Na Y Nb P S O
3 6 6 15 3 72
Cartesian
0.000 0.000 0.000 Na
4.505 7.850 11.608 Na
4.506 2.684 19.406 Na
4.492 7.888 20.069 Y
4.492 7.796 8.232 Y
4.474 2.651 4.327 Y
4.516 2.652 16.059 Y
8.963 5.249 12.247 Y
13.438 7.768 3.391 Y
4.497 2.697 22.882 Nb
4.525 2.560 11.094 Nb
8.984 5.293 18.916 Nb
8.995 5.201 0.482 Nb
9.042 5.219 7.403 Nb
9.020 0.127 15.155 Nb
1.875 2.609 1.819 P
5.825 5.669 17.564 P
3.110 0.467 13.611 P
5.813 4.858 1.815 P
6.384 5.181 9.762 P
7.799 7.524 21.453 P
5.776 0.333 1.830 P
7.083 2.534 13.607 P
7.673 3.143 21.460 P
10.269 7.504 9.761 P
10.905 7.827 17.569 P
11.516 5.216 21.452 P
10.351 2.993 9.782 P
10.248 2.368 17.580 P
12.093 5.528 5.855 P
3.296 4.983 13.607 S
7.192 7.737 5.863 S
7.724 2.401 5.864 S
3.716 6.186 7.066 O
1.019 1.516 18.796 O
0.996 1.365 1.853 O
3.962 6.345 13.764 O
2.662 2.885 3.074 O
3.511 4.216 14.829 O
3.411 3.925 21.611 O
2.728 2.638 17.388 O
2.927 2.939 9.990 O
3.610 4.117 5.661 O
1.516 0.367 13.822 O
3.905 4.327 12.411 O
2.875 2.469 0.583 O
5.174 6.245 1.846 O
5.232 6.289 18.802 O
1.863 0.186 7.031 O
5.526 6.580 16.290 O
5.412 6.339 9.587 O
6.289 7.685 21.425 O
6.372 7.491 4.654 O
3.402 1.386 12.349 O
5.187 4.064 0.584 O
5.312 4.253 17.388 O
3.613 1.059 5.677 O
3.662 1.096 14.858 O
5.529 3.855 10.002 O
5.665 4.050 3.079 O
3.979 1.137 21.607 O
7.212 5.409 10.994 O
8.120 6.883 13.404 O
7.401 5.594 17.785 O
8.018 6.501 6.128 O
8.149 6.664 22.687 O
5.025 1.096 9.939 O
6.107 3.016 21.617 O
7.343 5.011 1.513 O
7.315 4.977 8.505 O
8.382 6.843 20.170 O
5.159 0.885 3.087 O
5.400 1.264 0.588 O
6.275 2.757 14.852 O
5.433 1.167 17.409 O
6.125 2.325 12.355 O
6.284 2.587 5.680 O
7.960 3.987 20.174 O
9.619 6.798 8.505 O
9.645 6.733 1.522 O
8.061 3.648 13.389 O
8.244 3.879 22.690 O
8.350 3.756 6.118 O
10.047 6.694 10.999 O
10.057 6.498 17.784 O
7.959 1.569 7.039 O
7.248 0.231 18.805 O
7.299 0.206 1.840 O
11.740 7.817 9.572 O
7.946 1.197 13.828 O
8.358 1.824 4.656 O
8.286 1.753 21.426 O
9.507 3.749 17.780 O
10.526 5.407 6.204 O
11.840 7.642 16.298 O
10.598 5.350 22.688 O
9.748 3.621 11.000 O
9.982 3.867 1.517 O
10.637 5.043 20.173 O
10.041 3.911 8.510 O
10.862 5.198 13.443 O
12.243 6.401 4.598 O
9.612 1.640 16.289 O
12.413 6.442 21.429 O
9.840 1.583 9.558 O
```

Properties
The calculation puts the total energy at -811.3 eV for the cell shown.



HoZnRh: relaxed, GGA-PBE.

Geometry as POSCAR:
```
HoZnRh
1.0
6.919 0.000 0.000
0.000 4.036 0.000
0.000 0.000 8.124
Ho Zn Rh
4 4 4
Cartesian
0.272 1.009 1.491 Ho
3.188 3.027 5.553 Ho
3.731 1.009 2.571 Ho
6.647 3.027 6.633 Ho
0.945 1.009 4.577 Zn
2.514 3.027 0.515 Zn
4.405 1.009 7.609 Zn
5.973 3.027 3.547 Zn
1.700 3.027 3.055 Rh
1.759 1.009 7.117 Rh
5.160 3.027 1.007 Rh
5.218 1.009 5.069 Rh
```

Properties
The calculation puts the total energy at -61.8 eV for the cell shown.



U2CuGe2O18: relaxed, GGA-PBE.

Geometry as POSCAR:
```
U2CuGe2O18
1.0
7.548 -3.580 0.000
7.548 3.580 0.000
-2.968 0.000 6.478
U Cu Ge O
2 1 2 18
Cartesian
3.352 0.000 0.870 U
8.775 0.000 5.608 U
6.064 0.000 3.239 Cu
1.195 0.000 4.107 Ge
10.932 0.000 2.371 Ge
1.143 1.306 5.267 O
-0.424 0.000 2.907 O
1.764 0.000 0.022 O
6.064 2.369 3.239 O
2.305 0.000 2.783 O
5.109 0.000 1.594 O
7.548 0.609 0.000 O
1.143 -1.306 5.267 O
4.530 0.000 4.054 O
7.598 0.000 2.424 O
10.984 1.306 1.211 O
7.548 -0.609 0.000 O
7.018 0.000 4.884 O
9.823 0.000 3.695 O
6.064 -2.369 3.239 O
10.363 0.000 6.456 O
12.551 0.000 3.571 O
10.984 -1.306 1.211 O
```

Properties
The calculation puts the total energy at -150.0 eV for the cell shown.



NdPO4: relaxed, GGA-PBE.

Geometry as POSCAR:
```
NdPO4
1.0
6.454 0.000 0.000
0.000 7.042 0.000
-4.801 0.000 6.649
Nd P O
4 4 16
Cartesian
-0.157 1.103 1.891 Nd
-2.558 2.418 5.216 Nd
4.210 4.624 1.433 Nd
1.810 5.939 4.758 Nd
1.042 4.653 1.312 P
-1.358 5.911 4.637 P
3.011 1.132 2.012 P
0.610 2.389 5.337 P
-2.212 4.709 4.111 O
0.189 5.854 0.787 O
0.010 3.551 1.665 O
-2.390 7.013 4.989 O
2.042 4.234 0.199 O
-0.359 6.329 3.524 O
2.081 1.483 0.829 O
-0.320 2.039 4.154 O
1.972 5.004 2.495 O
-0.428 5.560 5.820 O
2.011 0.713 3.125 O
-0.389 2.808 6.450 O
4.043 0.029 1.660 O
1.642 3.492 4.984 O
1.464 1.188 5.862 O
3.864 2.333 2.538 O
```

Properties
The calculation puts the total energy at -191.7 eV for the cell shown.



BiN: relaxed, GGA-PBE.

Geometry as POSCAR:
```
BiN
1.0
3.694 0.000 0.000
0.000 5.437 0.000
-0.354 0.000 3.726
Bi N
2 2
Cartesian
0.736 0.000 1.029 Bi
2.605 2.718 2.697 Bi
0.560 2.259 1.199 N
2.781 4.978 2.527 N
```

Properties
The calculation puts the total energy at -21.8 eV for the cell shown.



UAlAu2: relaxed, GGA-PBE.

Geometry as POSCAR:
```
UAlAu2
1.0
8.406 0.000 0.000
0.000 6.933 0.000
0.000 0.000 5.651
U Al Au
4 4 8
Cartesian
0.448 1.733 0.853 U
3.755 5.200 3.678 U
4.651 1.733 1.973 U
7.958 5.200 4.798 U
0.883 5.200 1.930 Al
3.321 1.733 4.756 Al
5.086 5.200 0.895 Al
7.524 1.733 3.720 Al
1.504 0.306 3.483 Au
1.504 3.161 3.483 Au
2.699 3.773 0.658 Au
2.699 6.627 0.658 Au
5.707 0.306 4.993 Au
5.707 3.161 4.993 Au
6.903 3.773 2.168 Au
6.903 6.627 2.168 Au
```

Properties
The calculation puts the total energy at -90.3 eV for the cell shown.



MgSn3: relaxed, GGA-PBE.

Geometry as POSCAR:
```
MgSn3
1.0
-1.689 5.645 2.728
1.689 -5.645 2.728
1.689 5.645 -2.728
Mg Sn
1 3
Cartesian
0.000 0.000 0.000 Mg
1.689 2.774 0.934 Sn
1.689 0.000 2.724 Sn
0.000 2.870 3.662 Sn
```

Properties
The calculation puts the total energy at -13.6 eV for the cell shown.



NdZnRh: relaxed, GGA-PBE.

Geometry as POSCAR:
```
NdZnRh
1.0
7.311 0.000 0.000
0.000 4.041 0.000
0.000 0.000 16.525
Nd Zn Rh
8 8 8
Cartesian
0.352 1.010 3.573 Nd
1.220 1.010 7.261 Nd
2.436 3.031 15.523 Nd
3.303 3.031 11.836 Nd
4.008 1.010 4.689 Nd
4.875 1.010 1.001 Nd
6.091 3.031 9.264 Nd
6.959 3.031 12.951 Nd
0.012 3.031 1.002 Zn
0.909 1.010 10.753 Zn
2.747 3.031 2.491 Zn
3.644 1.010 9.265 Zn
3.667 3.031 7.260 Zn
4.564 1.010 14.034 Zn
6.402 3.031 5.771 Zn
7.299 1.010 15.522 Zn
1.788 1.010 1.069 Rh
1.806 1.010 13.447 Rh
1.850 3.031 5.185 Rh
1.868 3.031 9.331 Rh
5.443 1.010 7.193 Rh
5.461 1.010 11.340 Rh
5.505 3.031 3.077 Rh
5.523 3.031 15.456 Rh
```

Properties
The calculation puts the total energy at -122.7 eV for the cell shown.



GeN2F5: relaxed, GGA-PBE.

Geometry as POSCAR:
```
GeN2F5
1.0
6.071 0.000 0.000
0.000 6.071 0.000
0.000 0.000 7.698
Ge N F
2 4 10
Cartesian
1.518 1.518 1.785 Ge
4.553 4.553 5.913 Ge
1.518 1.518 4.468 N
1.518 4.553 0.000 N
4.553 1.518 0.000 N
4.553 4.553 3.230 N
0.239 2.712 2.167 F
0.324 0.239 2.167 F
1.518 1.518 0.033 F
2.712 2.797 2.167 F
2.797 0.324 2.167 F
3.274 5.747 5.531 F
3.359 3.274 5.531 F
4.553 4.553 7.665 F
5.747 5.832 5.531 F
5.832 3.359 5.531 F
```

Properties
The calculation puts the total energy at -63.1 eV for the cell shown.



Ba3EuRu2O9: relaxed, GGA-PBE.

Geometry as POSCAR:
```
Ba3EuRu2O9
1.0
6.009 0.000 0.000
-3.005 5.204 0.000
0.000 0.000 14.721
Ba Eu Ru O
6 2 4 18
Cartesian
0.000 0.000 3.680 Ba
0.000 0.000 11.041 Ba
0.000 3.469 1.444 Ba
0.000 3.469 5.916 Ba
3.005 1.735 8.804 Ba
3.005 1.735 13.277 Ba
0.000 0.000 0.000 Eu
0.000 0.000 7.360 Eu
0.000 3.469 9.794 Ru
0.000 3.469 12.287 Ru
3.005 1.735 2.433 Ru
3.005 1.735 4.927 Ru
-1.424 2.647 11.041 O
0.000 1.862 8.706 O
0.000 1.862 13.376 O
-1.392 4.273 8.706 O
-1.392 4.273 13.376 O
1.613 0.931 1.345 O
1.613 0.931 6.015 O
1.424 2.647 11.041 O
0.000 5.114 11.041 O
3.005 0.091 3.680 O
1.581 2.557 3.680 O
1.392 4.273 8.706 O
1.392 4.273 13.376 O
4.396 0.931 1.345 O
4.396 0.931 6.015 O
3.005 3.342 1.345 O
3.005 3.342 6.015 O
4.428 2.557 3.680 O
```

Properties
The calculation puts the total energy at -220.4 eV for the cell shown.



Results for volume: 27.509, 38.166, 27.669, 15.660, 18.906, 15.222, 12.591, 18.707, 20.583, 26.005, 20.340, 17.732, 15.346 (in A^3/atom, following the order of the records).